# 1
A relaxed structure of GdYRu2, computed with GGA-PBE.

Lattice parameters (Å, degrees): 6.8477 6.8477 6.8477 90.00 90.00 90.00
Last column: nearest neighbours and their distance in Å.
Space group Fm-3m (No. 225)
Unique sites:
Gd 0.0000 0.0000 0.0000  8 Ru 2.97
Y 0.0000 0.0000 0.5000  8 Ru 2.97
Ru 0.2500 0.2500 0.2500  4 Gd 2.97, 4 Y 2.97



# 2
A relaxed structure of Rb2IrAuF6, computed with GGA-PBE.

Lattice parameters (Å, degrees): 8.9831 8.9831 8.9831 90.00 90.00 90.00
Last column: nearest neighbours and their distance in Å.
Space group Fm-3m (No. 225)
Unique sites:
Rb 0.2500 0.2500 0.2500  12 F 3.18
Ir 0.0000 0.0000 0.0000  6 F 2.05
Au 0.0000 0.0000 0.5000  6 F 2.44
F 0.0000 0.0000 0.2284  1 Ir 2.05



no.,energy of formation from the pure elements (eV/atom),total magnetization (Bohr magnetons per cell),raw total energy (eV/atom)
1,1.03,5.339,-8.75
2,-1.98,0.001,-4.26